Entry 1:
The following is a PBE-GGA calculation of a geometry-optimized Cu9S5 structure, from Materials Project.

extended XYZ file:
```
14
Lattice="1.9369 1.1183 16.0724 -1.9369 1.1183 16.0724 0.0000 -2.2365 16.0724" Properties=species:S:1:pos:R:3 pbc="T T T"
Cu 0.0000 0.0000 0.0000
Cu 0.0000 0.0000 7.1501
Cu 0.0000 0.0000 12.1454
Cu 0.0000 0.0000 17.5004
Cu 0.0000 0.0000 21.5993
Cu 0.0000 0.0000 26.6178
Cu 0.0000 0.0000 30.7167
Cu 0.0000 0.0000 36.0717
Cu 0.0000 0.0000 41.0670
S 0.0000 0.0000 4.8154
S 0.0000 0.0000 14.4088
S 0.0000 0.0000 24.1086
S 0.0000 0.0000 33.8083
S 0.0000 0.0000 43.4018
```

Summary:
**Energy relative to the lowest polymorph listed for this composition**: 0.023 eV/atom
**Space-group type**: No. 166
**Magnetization**: 0.0 μB per cell
**Total energy after the MP2020 corrections**: -4.37 eV/atom


Entry 2:
The following is a PBE-GGA calculation of a geometry-optimized Sr3Al2PO4F10 structure, from Materials Project.

extended XYZ file:
```
80
Lattice="7.4201 0.0000 0.0000 0.0000 7.2273 0.0000 -0.1892 0.0000 20.7317" Properties=species:S:1:pos:R:3 pbc="T T T"
Sr 0.0096 0.4199 4.0463
Sr -0.0850 3.1937 14.4122
Sr 2.0302 5.0952 0.0125
Sr 1.9356 5.7457 10.3783
Sr 3.4550 0.3843 14.3493
Sr 3.5496 3.2293 3.9834
Sr 3.6813 3.9979 16.7482
Sr 3.7759 6.8430 6.3824
Sr 5.2953 1.4815 10.3534
Sr 5.2007 2.1321 20.7192
Sr 7.3159 4.0336 6.3195
Sr 7.2213 6.8073 16.6854
Al 0.1666 3.7351 2.8753
Al 0.0720 7.1058 13.2411
Al 3.3525 0.0119 17.7486
Al 3.4471 3.6017 7.3827
Al 3.7838 3.6255 13.3490
Al 3.8784 7.2154 2.9831
Al 7.1589 0.1214 7.4906
Al 7.0643 3.4922 17.8564
P 1.4461 1.7127 19.6671
P 1.5407 1.9009 9.3013
P 5.6902 5.3263 11.4304
P 5.7848 5.5146 1.0646
O 0.2262 1.1216 9.0258
O 0.1316 2.4921 19.3917
O 1.4087 0.6284 0.0227
O 1.3141 2.9852 10.3886
O 1.6963 0.7388 18.4613
O 1.7909 2.8748 8.0954
O 2.6662 0.9349 9.6217
O 2.5716 2.6787 19.9875
O 4.6593 4.5485 0.7442
O 4.5647 6.2924 11.1100
O 5.4400 4.3525 12.6363
O 5.5346 6.4884 2.2704
O 5.9168 4.2421 10.3431
O 5.8222 6.5988 20.7089
O 7.0993 4.7352 1.3400
O 7.0047 6.1057 11.7059
F 0.1309 5.0748 18.6570
F 0.2255 5.7661 8.2912
F 0.5500 5.2390 3.8595
F 0.4554 5.6019 14.2254
F 0.7540 0.8329 14.6875
F 0.8486 2.7807 4.3216
F 1.3555 0.0974 6.6324
F 1.2609 3.5163 16.9982
F 1.8512 3.6941 2.1705
F 1.7566 7.1468 12.5363
F 2.3821 4.4247 6.1038
F 2.2876 6.4161 16.4696
F 2.4791 0.7029 3.9018
F 2.3845 2.9108 14.2677
F 2.7538 4.4004 12.1627
F 2.8484 6.4405 1.7968
F 3.2462 5.1410 8.3504
F 3.1516 5.6999 18.7163
F 3.3942 1.4715 16.6517
F 3.4888 2.1421 6.2859
F 3.7421 5.0851 14.4458
F 3.8367 5.7558 4.0800
F 4.0793 1.5273 2.0154
F 3.9847 2.0863 12.3813
F 4.3825 0.7868 18.9349
F 4.4771 2.8268 8.5690
F 4.8464 4.3165 6.4640
F 4.7519 6.5244 16.8299
F 4.9434 0.8111 4.2621
F 4.8488 2.8025 14.6279
F 5.4743 0.0805 8.1954
F 5.3797 3.5332 18.5612
F 5.9700 3.7110 3.7335
F 5.8754 7.1299 14.0993
F 6.3823 4.4465 16.4100
F 6.4769 6.3943 6.0442
F 6.7755 1.6253 6.5063
F 6.6809 1.9883 16.8722
F 7.0054 1.4612 12.4405
F 7.1000 2.1524 2.0747
```

Summary:
**Space-group type**: No. 14
**Magnetization**: 4.0 μB per cell
**Total energy after the MP2020 corrections**: -6.53 eV/atom


Entry 3:
The following is a PBE-GGA calculation of a geometry-optimized NaCaTa3P6O24 structure, from Materials Project.

extended XYZ file:
```
105
Lattice="8.8454 0.0000 0.0000 -4.4227 7.6603 0.0000 0.0000 0.0000 23.0444" Properties=species:S:1:pos:R:3 pbc="T T T"
Na 0.0000 0.0000 0.0000
Na 0.0000 0.0000 11.4973
Na 0.0000 5.1069 3.3215
Ca 0.0000 0.0000 3.1077
Ca 0.0000 0.0000 14.6877
Ca 0.0000 5.1069 0.2604
Ta 0.0000 0.0000 7.8789
Ta 0.0000 0.0000 19.3840
Ta 0.0000 5.1069 7.0365
Ta 0.0000 5.1069 11.9096
Ta 0.0000 5.1069 18.6141
Ta 4.4227 2.5534 4.1039
Ta 4.4227 2.5534 10.7524
Ta 4.4227 2.5534 15.7506
Ta 4.4227 2.5534 22.2841
P 5.7234 5.4040 5.5687
P -1.2679 2.2752 17.0678
P -2.6145 5.1274 20.9071
P -1.2300 2.9044 9.4288
P -1.8183 7.6208 17.0678
P 1.3037 2.2547 5.5687
P -1.2924 7.2734 9.4288
P 1.2895 2.8324 20.9071
P 3.1781 0.3911 1.6870
P 1.9475 2.5815 13.1822
P 2.5224 5.1429 9.4288
P 1.3250 7.3609 20.9071
P 5.6360 0.3958 13.1822
P 3.1723 4.7124 1.6870
P 3.0863 5.4246 17.0678
P 6.2409 0.0017 5.5687
P 5.6846 4.6830 13.1822
P 6.9176 2.5568 1.6870
O -3.5692 6.3120 20.5063
O -0.6144 1.4960 9.1986
O -0.6350 1.8135 15.8041
O -3.1505 6.2502 4.3633
O -1.1704 3.8522 1.7898
O -1.5935 4.7467 12.9453
O -1.6523 4.9256 19.6895
O -0.9814 3.7831 8.1967
O -1.8855 5.5040 22.1524
O -0.7636 3.6757 17.4872
O -1.6114 5.1795 5.9875
O -0.5891 3.5829 10.6576
O -2.8199 7.4444 9.1986
O 0.7409 1.4133 20.5063
O 0.5851 1.8068 4.3633
O -2.5346 7.3035 15.8041
O 0.9643 1.3156 6.8352
O 1.6547 0.2255 18.2690
O 1.0571 1.3875 13.1428
O 1.6804 0.3805 1.6344
O 0.5988 3.2754 22.1524
O -1.0253 6.3790 10.6576
O 0.7428 3.6751 5.9875
O -0.8576 6.4838 17.4872
O 0.9831 3.7666 19.6895
O -0.6558 6.6187 8.1967
O 1.1086 3.9070 12.9453
O -0.5014 6.7479 1.7898
O 2.8253 2.3936 5.4624
O 3.5017 1.2594 16.8647
O 2.8813 2.5158 11.9234
O 0.4848 6.6669 12.9453
O 3.7540 1.0141 9.6390
O 3.6427 1.2102 0.4172
O 3.6610 1.1979 3.0039
O 2.8276 2.6928 21.0438
O 1.6718 4.7206 1.7898
O 2.8086 2.7721 14.4492
O 1.6372 4.9189 8.1967
O 0.6692 6.6284 19.6895
O 1.6213 5.1612 17.4872
O 0.8686 6.4661 5.9875
O 1.6144 5.3588 10.6576
O 1.2867 6.5412 22.1524
O 5.0403 1.0463 14.4492
O 3.4239 3.9022 9.6390
O 5.0995 1.1024 21.0438
O 3.6296 3.8909 3.0039
O 3.6494 3.9006 0.4172
O 5.2260 1.2374 11.9234
O 3.7625 3.9980 16.8647
O 5.3598 1.2500 5.4624
O 3.1697 6.2036 15.8041
O 2.5654 7.2637 4.3633
O 3.4343 6.3802 9.1986
O 2.8283 7.5953 20.5063
O 7.1152 0.2217 13.1428
O 7.2239 0.1773 6.8352
O 3.7906 6.1146 18.2690
O 3.9120 6.0147 1.6344
O 6.0038 2.4029 16.8647
O 5.0830 4.0167 5.4624
O 5.1608 3.9071 11.9234
O 5.9760 2.5495 0.4172
O 5.9775 2.5716 3.0039
O 5.3409 3.8652 21.0438
O 5.4191 3.8419 14.4492
O 6.0902 2.7440 9.6390
O 7.6756 1.2650 1.6344
O 7.8228 1.3202 18.2690
O 5.0957 6.0511 13.1428
O 5.0799 6.1674 6.8352
```

Summary:
**Space-group type**: No. 143
**Magnetization**: 0.0 μB per cell
**Total energy after the MP2020 corrections**: -8.43 eV/atom


Entry 4:
The following is a PBE-GGA calculation of a geometry-optimized K2MgNb2P2C2O14 structure, from Materials Project.

extended XYZ file:
```
23
Lattice="5.1583 0.0000 0.0000 -0.1450 6.7292 0.0000 -0.5582 -1.1713 10.6816" Properties=species:S:1:pos:R:3 pbc="T T T"
K 0.0000 0.0000 0.0000
K 0.0374 1.8483 7.8488
Mg 2.1500 4.1624 4.8649
Nb -0.3153 5.9309 4.8180
Nb 2.2296 2.6040 1.6640
P 2.4508 5.9406 2.4330
P 4.7621 2.5560 4.0865
C 2.3777 1.2147 9.8708
C 4.0973 5.1212 7.2122
O 0.0028 5.8575 6.9986
O 0.2132 3.7120 4.9849
O 0.4070 2.4734 2.7951
O 1.1073 1.2715 10.2534
O 1.6133 5.7632 3.7663
O 2.1277 0.4614 1.6680
O 2.1714 4.7022 1.5360
O 2.7511 1.1565 8.6821
O 3.2591 2.9085 3.8035
O 3.2817 5.1382 6.1122
O 3.7710 2.3981 0.2405
O 3.9464 6.0329 2.8045
O 3.8447 4.4450 8.2194
O 4.8524 1.2816 4.9522
```

Summary:
**Energy relative to the lowest polymorph listed for this composition**: 0.000 eV/atom
**Space-group type**: No. 1
**Magnetization**: 4.0 μB per cell
**Total energy after the MP2020 corrections**: -7.70 eV/atom


Entry 5:
The following is a PBE-GGA calculation of a geometry-optimized P3Pb5O12F structure, from Materials Project.

extended XYZ file:
```
42
Lattice="9.9056 0.0000 0.0000 -4.9528 8.5785 0.0000 0.0000 0.0000 7.3621" Properties=species:S:1:pos:R:3 pbc="T T T"
P -2.8299 5.3099 0.0000
P 1.7692 3.4728 0.0000
P 3.8921 0.2042 3.6811
P 1.0607 8.3743 0.0000
P 3.1836 5.1057 3.6811
P 7.7827 3.2686 3.6811
Pb -1.1131 2.0265 7.3468
Pb -2.6412 8.5292 7.3468
Pb 1.1984 1.9773 3.6657
Pb 0.0000 5.7190 1.8554
Pb 0.0000 5.7190 5.5063
Pb 4.9528 2.8595 1.8252
Pb 4.9528 2.8595 5.5364
Pb 3.7544 6.6012 7.3468
Pb 7.5940 0.0493 3.6657
Pb 6.0659 6.5520 3.6657
O -2.7846 6.2414 1.2552
O -2.7759 6.2441 6.1122
O -1.5441 4.4099 7.3618
O -0.8399 4.1445 3.6790
O 0.9399 3.0462 1.2552
O 0.9332 3.0525 6.1122
O -0.9436 7.2336 3.6790
O 3.1080 0.7092 4.9363
O 3.1101 0.7181 2.4312
O -0.3617 7.7108 7.3618
O 3.1693 2.7996 7.3600
O 1.9058 5.0363 7.3618
O 3.0470 3.5422 3.6808
O 1.7835 5.7789 3.6790
O 5.3145 0.8677 3.6808
O 1.8427 7.8604 6.1122
O 1.8448 7.8693 1.2552
O 5.8964 1.3449 7.3600
O 4.0196 5.5260 2.4312
O 4.0129 5.5323 4.9363
O 5.7927 4.4340 7.3600
O 6.4969 4.1686 3.6808
O 7.7287 2.3344 2.4312
O 7.7374 2.3371 4.9363
F 0.0000 0.0000 2.1350
F 0.0000 0.0000 5.8161
```

Summary:
**Energy relative to the lowest polymorph listed for this composition**: 0.009 eV/atom
**Space-group type**: No. 173
**Magnetization**: 0.0 μB per cell
**Total energy after the MP2020 corrections**: -6.94 eV/atom


Entry 6:
The following is a PBE-GGA calculation of a geometry-optimized ThU4O10 structure, from Materials Project.

extended XYZ file:
```
15
Lattice="-1.9315 1.9315 13.6778 1.9315 -1.9315 13.6778 1.9315 1.9315 -13.6778" Properties=species:S:1:pos:R:3 pbc="T T T"
Th 0.0000 0.0000 0.0000
U 0.0000 0.0000 5.4923
U 0.0000 0.0000 10.8787
U 0.0000 0.0000 16.4768
U 0.0000 0.0000 21.8632
O 1.9315 0.0000 1.4262
O 1.9315 0.0000 4.1273
O 1.9315 0.0000 6.8389
O 1.9315 0.0000 9.5504
O 1.9315 0.0000 12.2515
O 0.0000 1.9315 1.4262
O 0.0000 1.9315 4.1273
O 0.0000 1.9315 6.8389
O 0.0000 1.9315 9.5504
O 0.0000 1.9315 12.2515
```

Summary:
**Space-group type**: No. 139
**Magnetization**: 8.0 μB per cell
**Total energy after the MP2020 corrections**: -10.66 eV/atom


Entry 7:
The following is a PBE-GGA calculation of a geometry-optimized Ce2Ga9Ru3 structure, from Materials Project.

extended XYZ file:
```
28
Lattice="6.5660 -3.8213 0.0000 6.5660 3.8213 0.0000 0.0000 0.0000 9.6919" Properties=species:S:1:pos:R:3 pbc="T T T"
Ce 4.4075 2.5449 7.2689
Ce 8.7245 2.5449 7.2689
Ce 4.4075 -2.5449 2.4230
Ce 8.7245 -2.5449 2.4230
Ga 4.3991 2.5231 0.7193
Ga 4.3991 2.5231 4.1266
Ga 6.5660 2.8604 2.4230
Ga 8.7328 2.5231 0.7193
Ga 8.7328 2.5231 4.1266
Ga 5.1795 0.4497 2.4230
Ga 6.5660 1.2470 5.3989
Ga 6.5660 1.2470 9.1389
Ga 5.1795 -0.4497 7.2689
Ga 7.9525 0.4497 2.4230
Ga 6.5660 -1.2470 0.5530
Ga 6.5660 -1.2470 4.2930
Ga 7.9525 -0.4497 7.2689
Ga 4.3991 -2.5231 5.5653
Ga 4.3991 -2.5231 8.9725
Ga 6.5660 -2.8604 7.2689
Ga 8.7328 -2.5231 5.5653
Ga 8.7328 -2.5231 8.9725
Ru 0.0000 0.0000 0.0000
Ru 0.0000 0.0000 4.8459
Ru 4.3029 0.0000 0.0000
Ru 4.3029 0.0000 4.8459
Ru 8.8291 0.0000 0.0000
Ru 8.8291 0.0000 4.8459
```

Summary:
**Space-group type**: No. 63


Entry 8:
The following is a PBE-GGA calculation of a geometry-optimized In3Rh structure, from Materials Project.

extended XYZ file:
```
16
Lattice="7.0988 0.0000 0.0000 0.0000 7.0988 0.0000 0.0000 0.0000 7.2869" Properties=species:S:1:pos:R:3 pbc="T T T"
In 0.0000 3.5494 0.0000
In 0.0000 3.5494 3.6435
In 1.0779 1.0779 1.7780
In 1.0779 1.0779 5.5089
In 2.4715 4.6273 1.8654
In 2.4715 4.6273 5.4215
In 3.5494 0.0000 0.0000
In 3.5494 0.0000 3.6435
In 4.6273 2.4715 1.8654
In 4.6273 2.4715 5.4215
In 6.0209 6.0209 1.7780
In 6.0209 6.0209 5.5089
Rh 1.0996 5.9993 0.0000
Rh 2.4499 2.4499 3.6435
Rh 4.6490 4.6490 3.6435
Rh 5.9993 1.0996 0.0000
```

Summary:
**Space-group type**: No. 136


no.,formation enthalpy at 0 K (eV per atom),calculated density (g cm⁻³)
1,-0.25,5.82
2,-3.69,3.60
3,-3.00,3.75
4,-2.37,2.68
5,-2.36,7.11
6,-3.85,10.94
7,-0.54,8.27
8,-0.29,8.09